Here is a relaxed structure of Tm2CoIr from the Materials Project. Energies are from PBE-GGA.

DFT formation energy: -612 meV per atom
Volume: 75.3 Å³ per cell
M_tot: 0.22 μB per cell

Structure (POSCAR):
```
Tm2CoIr
1.0
0.0000 3.3511 3.3511
3.3511 0.0000 3.3511
3.3511 3.3511 0.0000
Tm Co Ir
2 1 1
direct
0.2500 0.2500 0.2500
0.7500 0.7500 0.7500
0.5000 0.5000 0.5000
0.0000 0.0000 0.0000
```